Run a
{
  "formula": "V3O5F",
  "functional": "PBE+U",
  "state": "optimized geometry",
  "lattice": [[3.2384, 4.4709, 0.0000], [-3.2384, 4.4709, 0.0000], [0.0000, 3.1512, 6.6929]],
  "species": ["O", "O", "O", "O", "O", "O", "O", "O", "O", "O", "V", "V", "V", "V", "V", "V", "F", "F"],
  "frac_coords": [[0.2624, 0.2624, 0.5424], [0.5345, 0.1357, 0.1635], [0.6035, 0.6035, 0.1920], [0.4655, 0.8643, 0.8365], [0.8643, 0.4655, 0.8365], [0.3965, 0.3965, 0.8080], [0.1357, 0.5345, 0.1635], [0.8004, 0.1996, 0.5000], [0.7376, 0.7376, 0.4576], [0.1996, 0.8004, 0.5000], [0.8113, 0.8113, 0.1754], [0.1736, 0.1736, 0.3544], [0.1887, 0.1887, 0.8246], [0.8264, 0.8264, 0.6456], [0.5000, 0.5000, 0.5000], [0.5000, 0.5000, 0.0000], [0.9382, 0.9382, 0.8698], [0.0618, 0.0618, 0.1302]],
  "m_tot_mub_per_fu": 4.0,
  "vol_a3_per_cell": 193.8,
  "spacegroup": "C2/m (12)",
  "mass_density_g_cm3": 4.3
}

Run b
{
  "formula": "V3O5F",
  "functional": "PBE+U",
  "state": "optimized geometry",
  "lattice": [[2.9705, 0.0000, 0.0000], [0.0000, 4.6682, 0.0000], [0.0000, 0.6163, 13.9683]],
  "species": ["O", "O", "O", "O", "O", "O", "O", "O", "O", "O", "F", "F", "V", "V", "V", "V", "V", "V"],
  "frac_coords": [[0.0000, 0.6960, 0.1021], [0.5000, 0.7986, 0.5999], [0.0000, 0.7079, 0.7648], [0.0000, 0.3040, 0.8979], [0.5000, 0.2014, 0.4001], [0.0000, 0.2919, 0.5696], [0.5000, 0.8025, 0.9345], [0.5000, 0.1975, 0.0655], [0.0000, 0.2921, 0.2352], [0.0000, 0.7081, 0.4304], [0.5000, 0.1932, 0.7315], [0.5000, 0.8068, 0.2685], [0.0000, 0.9790, 0.6575], [0.0000, 0.0210, 0.3425], [0.5000, 0.5266, 0.8409], [0.5000, 0.4734, 0.1591], [0.5000, 0.5000, 0.5000], [0.0000, 0.0000, 0.0000]],
  "vol_a3_per_cell": 193.7,
  "spacegroup": "P2/m (10)",
  "mass_density_g_cm3": 4.3
}

Run c
{
  "formula": "V3O5F",
  "functional": "PBE+U",
  "state": "optimized geometry",
  "lattice": [[1.1158, -2.2728, 3.8511], [-3.2649, -6.3160, -2.7880], [4.9388, -1.2274, -2.1572]],
  "species": ["V", "V", "V", "V", "V", "V", "O", "O", "O", "O", "O", "O", "O", "O", "O", "O", "F", "F"],
  "frac_coords": [[0.9898, 0.6702, 0.6669], [0.0378, 0.9960, 0.0131], [0.9981, 0.3138, 0.3345], [0.5379, 0.6716, 0.1532], [0.4985, 0.3534, 0.8339], [0.4902, 0.9971, 0.4988], [0.2061, 0.2296, 0.0310], [0.2922, 0.8902, 0.1960], [0.8025, 0.0999, 0.2904], [0.3030, 0.5668, 0.8759], [0.7923, 0.4227, 0.6329], [0.6817, 0.7612, 0.4623], [0.1806, 0.9048, 0.7044], [0.7067, 0.4374, 0.1360], [0.7933, 0.7760, 0.9693], [0.2925, 0.2429, 0.5346], [0.6977, 0.1028, 0.8080], [0.1992, 0.5635, 0.3586]],
  "vol_a3_per_cell": 194.2,
  "spacegroup": "P1 (1)",
  "mass_density_g_cm3": 4.3
}

Least stable: run a

Run a
{
  "formula": "NaMgMnO2",
  "functional": "PBE+U",
  "state": "optimized geometry",
  "lattice": [[4.3593, -1.1571, 5.7630], [1.4629, 1.6701, 5.4185], [-0.8665, -1.1571, 7.1739]],
  "species": ["O", "O", "Mg", "Na", "Mn"],
  "frac_coords": [[0.1970, 0.3341, 0.1970], [0.8030, 0.6659, 0.8030], [0.0000, 0.5000, 0.0000], [0.5000, 0.5000, 0.5000], [0.0000, 0.0000, 0.0000]],
  "m_tot_mub_per_fu": 4.5,
  "vol_a3_per_cell": 95.7,
  "spacegroup": "C2/m (12)",
  "mass_density_g_cm3": 2.3
}

Run b
{
  "formula": "NaMgMnO2",
  "functional": "PBE+U",
  "state": "optimized geometry",
  "lattice": [[4.3311, -0.9219, 5.7684], [1.4998, 1.7992, 5.5554], [-0.8395, -0.9219, 7.1644]],
  "species": ["Na", "Mn", "O", "O", "Mg"],
  "frac_coords": [[0.5000, 0.5000, 0.5000], [0.0000, 0.0000, 0.0000], [0.2497, 0.2923, 0.2497], [0.7503, 0.7077, 0.7503], [0.5000, 0.0000, 0.5000]],
  "m_tot_mub_per_fu": 4.0,
  "vol_a3_per_cell": 93.0,
  "spacegroup": "C2/m (12)",
  "mass_density_g_cm3": 2.4
}

Least stable: run a

Run a
{
  "formula": "MgNi4O4F8",
  "functional": "PBE+U",
  "state": "optimized geometry",
  "lattice": [[7.2152, 0.0028, -1.2940], [-0.0079, 4.0193, -0.0521], [-2.0574, -0.0981, 7.9863]],
  "species": ["O", "O", "O", "O", "F", "F", "F", "F", "F", "F", "F", "F", "Mg", "Ni", "Ni", "Ni", "Ni"],
  "frac_coords": [[0.0103, 0.6242, 0.9394], [0.0341, 0.1255, 0.5638], [0.9910, 0.8744, 0.4431], [0.0313, 0.3802, 0.0548], [0.3231, 0.2332, 0.9345], [0.6292, 0.2242, 0.7963], [0.6269, 0.2756, 0.3036], [0.3629, 0.7142, 0.7169], [0.6499, 0.7447, 0.0562], [0.3722, 0.7771, 0.1933], [0.2959, 0.3040, 0.4180], [0.6868, 0.7515, 0.5794], [0.3567, 0.7355, 0.9499], [0.7111, 0.7183, 0.8235], [0.7032, 0.7820, 0.3477], [0.3226, 0.2789, 0.2024], [0.3262, 0.2067, 0.6504]],
  "m_tot_mub_per_fu": 10.0,
  "vol_a3_per_cell": 220.9,
  "spacegroup": "P1 (1)",
  "mass_density_g_cm3": 3.6
}

Run b
{
  "formula": "MgNi4O4F8",
  "functional": "PBE+U",
  "state": "optimized geometry",
  "lattice": [[-3.7716, -6.2199, -2.9321], [1.4749, 0.7125, -3.6362], [7.2701, -1.2925, 2.5858]],
  "species": ["F", "F", "F", "F", "F", "F", "F", "F", "O", "O", "O", "O", "Ni", "Ni", "Ni", "Ni", "Mg"],
  "frac_coords": [[0.2611, 0.3370, 0.8841], [0.7445, 0.7024, 0.5948], [0.3854, 0.7153, 0.6937], [0.6331, 0.2079, 0.7921], [0.6815, 0.7556, 0.0729], [0.6188, 0.2867, 0.2997], [0.3772, 0.8031, 0.1828], [0.3113, 0.2341, 0.4170], [0.9666, 0.8648, 0.4408], [0.0434, 0.4140, 0.0888], [0.0454, 0.0607, 0.6007], [0.9639, 0.6107, 0.9339], [0.3472, 0.2096, 0.6733], [0.6813, 0.7025, 0.8289], [0.3244, 0.3101, 0.1764], [0.6678, 0.7935, 0.3098], [0.0221, 0.5753, 0.6975]],
  "m_tot_mub_per_fu": 8.0,
  "vol_a3_per_cell": 219.7,
  "spacegroup": "P1 (1)",
  "mass_density_g_cm3": 3.6
}

Least stable: run b

Run a
{
  "formula": "Li2Fe2Si3O9",
  "functional": "PBE+U",
  "state": "optimized geometry",
  "lattice": [[-5.6530, -2.9656, 3.0652], [5.1893, -1.0353, 8.5686], [-3.9930, 11.5536, 3.8141]],
  "species": ["O", "O", "O", "O", "O", "O", "O", "O", "O", "O", "O", "O", "O", "O", "O", "O", "O", "O", "O", "O", "O", "O", "O", "O", "O", "O", "O", "O", "O", "O", "O", "O", "O", "O", "O", "O", "Fe", "Fe", "Fe", "Fe", "Fe", "Fe", "Fe", "Fe", "Si", "Si", "Si", "Si", "Si", "Si", "Si", "Si", "Si", "Si", "Si", "Si", "Li", "Li", "Li", "Li", "Li", "Li", "Li", "Li"],
  "frac_coords": [[0.4906, 0.8895, 0.7299], [0.0829, 0.7500, 0.3994], [0.0094, 0.8895, 0.2299], [0.4906, 0.6105, 0.7299], [0.3913, 0.6144, 0.0803], [0.5829, 0.2500, 0.1006], [0.8913, 0.3856, 0.4197], [0.0048, 0.1153, 0.0505], [0.8913, 0.1144, 0.4197], [0.9952, 0.6153, 0.9495], [0.2042, 0.2500, 0.4686], [0.4952, 0.1153, 0.5505], [0.7958, 0.7500, 0.5314], [0.0094, 0.6105, 0.2299], [0.4171, 0.7500, 0.8994], [0.7042, 0.7500, 0.0314], [0.9171, 0.2500, 0.6006], [0.5048, 0.8847, 0.4495], [0.7657, 0.7500, 0.8221], [0.9906, 0.1105, 0.7701], [0.5094, 0.3895, 0.2701], [0.5094, 0.1105, 0.2701], [0.5048, 0.6153, 0.4495], [0.0048, 0.3847, 0.0505], [0.3913, 0.8856, 0.0803], [0.2657, 0.2500, 0.6779], [0.6087, 0.1144, 0.9197], [0.7343, 0.7500, 0.3221], [0.2343, 0.2500, 0.1779], [0.1087, 0.8856, 0.5803], [0.4952, 0.3847, 0.5505], [0.9952, 0.8847, 0.9495], [0.6087, 0.3856, 0.9197], [0.1087, 0.6144, 0.5803], [0.9906, 0.3895, 0.7701], [0.2958, 0.2500, 0.9686], [0.8824, 0.0672, 0.9089], [0.3824, 0.5672, 0.5911], [0.1176, 0.9328, 0.0911], [0.3824, 0.9328, 0.5911], [0.6176, 0.0672, 0.4089], [0.8824, 0.4328, 0.9089], [0.1176, 0.5672, 0.0911], [0.6176, 0.4328, 0.4089], [0.3706, 0.2500, 0.5620], [0.4695, 0.7500, 0.0256], [0.8706, 0.7500, 0.9380], [0.5390, 0.7500, 0.7882], [0.0305, 0.7500, 0.5256], [0.4610, 0.2500, 0.2118], [0.1294, 0.2500, 0.0620], [0.6294, 0.7500, 0.4380], [0.9695, 0.2500, 0.4744], [0.9610, 0.7500, 0.2882], [0.0390, 0.2500, 0.7118], [0.5305, 0.2500, 0.9744], [0.4314, 0.4884, 0.8421], [0.5686, 0.5116, 0.1579], [0.9314, 0.9884, 0.6579], [0.4314, 0.0116, 0.8421], [0.0686, 0.0116, 0.3421], [0.9314, 0.5116, 0.6579], [0.5686, 0.9884, 0.1579], [0.0686, 0.4884, 0.3421]],
  "m_tot_mub_per_fu": 0.0,
  "vol_a3_per_cell": 913.2,
  "spacegroup": "Pnma (62)",
  "mass_density_g_cm3": 2.6
}

Run b
{
  "formula": "Li2Fe2Si3O9",
  "functional": "PBE+U",
  "state": "optimized geometry",
  "lattice": [[5.0654, -8.7736, 0.0000], [5.0654, 8.7736, 0.0000], [0.0000, 0.0000, 12.3276]],
  "species": ["O", "O", "O", "O", "O", "O", "O", "O", "O", "O", "O", "O", "O", "O", "O", "O", "O", "O", "O", "O", "O", "O", "O", "O", "O", "O", "O", "O", "O", "O", "O", "O", "O", "O", "O", "O", "O", "O", "O", "O", "O", "O", "O", "O", "O", "O", "O", "O", "O", "O", "O", "O", "O", "O", "Fe", "Fe", "Fe", "Fe", "Fe", "Fe", "Fe", "Fe", "Fe", "Fe", "Fe", "Fe", "Si", "Si", "Si", "Si", "Si", "Si", "Si", "Si", "Si", "Si", "Si", "Si", "Si", "Si", "Si", "Si", "Si", "Si", "Li", "Li", "Li", "Li", "Li", "Li", "Li", "Li", "Li", "Li", "Li", "Li"],
  "frac_coords": [[0.2569, 0.1316, 0.9019], [0.4780, 0.2682, 0.1267], [0.9503, 0.2911, 0.1627], [0.9706, 0.9198, 0.8608], [0.4258, 0.5714, 0.6792], [0.5508, 0.3773, 0.8963], [0.2584, 0.6484, 0.8098], [0.7902, 0.5220, 0.4600], [0.3516, 0.6099, 0.4765], [0.9001, 0.7987, 0.6578], [0.4743, 0.5343, 0.1082], [0.0802, 0.0509, 0.5275], [0.0601, 0.5257, 0.4415], [0.8986, 0.0999, 0.9911], [0.8515, 0.5053, 0.8475], [0.6227, 0.1735, 0.5629], [0.6537, 0.1485, 0.1808], [0.5500, 0.8500, 0.5645], [0.7823, 0.9042, 0.3691], [0.4286, 0.8543, 0.3458], [0.6229, 0.6455, 0.5080], [0.3408, 0.0497, 0.4960], [0.2241, 0.4439, 0.3030], [0.7089, 0.6592, 0.8294], [0.1500, 0.7000, 0.2312], [0.1843, 0.8540, 0.8376], [0.0226, 0.3771, 0.8413], [0.1457, 0.5742, 0.0125], [0.5116, 0.0633, 0.9905], [0.1768, 0.2631, 0.1043], [0.7318, 0.2098, 0.7934], [0.7369, 0.9137, 0.7710], [0.2013, 0.1014, 0.3245], [0.8213, 0.2239, 0.3590], [0.0863, 0.8232, 0.4376], [0.8684, 0.1252, 0.5685], [0.9367, 0.4483, 0.6571], [0.8748, 0.7431, 0.2352], [0.4026, 0.1787, 0.6923], [0.4657, 0.9399, 0.7748], [0.0958, 0.8782, 0.0357], [0.5561, 0.7803, 0.9696], [0.2197, 0.7759, 0.6363], [0.3000, 0.4500, 0.8978], [0.1460, 0.3304, 0.5043], [0.5517, 0.4884, 0.3238], [0.6696, 0.8157, 0.1710], [0.9491, 0.0294, 0.1941], [0.7761, 0.5974, 0.0257], [0.4947, 0.3463, 0.5142], [0.1218, 0.2177, 0.7024], [0.8265, 0.4492, 0.2296], [0.3545, 0.9774, 0.1747], [0.3901, 0.7416, 0.1431], [0.9645, 0.6330, 0.3344], [0.6685, 0.0355, 0.6677], [0.4925, 0.1593, 0.8391], [0.9883, 0.6627, 0.5724], [0.8407, 0.3332, 0.5057], [0.4951, 0.6584, 0.8295], [0.6668, 0.5075, 0.1724], [0.3670, 0.3315, 0.0010], [0.6745, 0.0117, 0.9057], [0.1634, 0.5049, 0.1629], [0.3373, 0.3255, 0.2390], [0.3416, 0.8366, 0.4962], [0.4735, 0.1916, 0.5720], [0.1871, 0.4751, 0.4254], [0.5249, 0.7120, 0.0920], [0.1780, 0.5101, 0.9024], [0.7181, 0.5265, 0.9053], [0.8084, 0.2819, 0.2386], [0.5042, 0.1227, 0.1135], [0.4899, 0.6679, 0.5691], [0.8773, 0.3815, 0.7801], [0.1760, 0.0104, 0.4360], [0.2880, 0.8129, 0.7587], [0.8181, 0.8654, 0.2497], [0.9896, 0.1656, 0.1027], [0.1346, 0.9527, 0.9164], [0.8344, 0.8240, 0.7693], [0.6185, 0.4958, 0.4468], [0.0473, 0.1819, 0.5831], [0.3321, 0.8220, 0.2358], [0.5265, 0.7041, 0.3477], [0.8301, 0.8606, 0.5194], [0.2959, 0.8224, 0.0143], [0.1739, 0.0452, 0.6876], [0.8713, 0.8261, 0.0209], [0.3432, 0.3285, 0.7616], [0.0305, 0.1699, 0.8528], [0.1394, 0.9695, 0.1861], [0.9853, 0.6568, 0.0949], [0.9548, 0.1287, 0.3542], [0.6715, 0.0147, 0.4283], [0.1776, 0.4735, 0.6810]],
  "m_tot_mub_per_fu": 8.0,
  "vol_a3_per_cell": 1095.7,
  "spacegroup": "P3_2 (145)",
  "mass_density_g_cm3": 3.2
}

Least stable: run a